This record from the Materials Project describes an optimized crystal structure of BiO2. The functional is GGA-PBE.

Computed properties:
As for the distance to the lowest polymorph of the same formula: 167.0 meV/atom. Its space group is Cmcm. Its formation energy is -374 kJ/mol of formula units. The density comes out at 7.1 g/cm3.

Cell lengths 5.7575, 5.7575, 11.7843 Å; angles 90.00, 90.00, 145.01 degrees
Fractional coordinates of all 12 atoms:
Bi  0.1338  0.8662  0.5777
Bi  0.1338  0.8662  0.9223
Bi  0.8662  0.1338  0.0777
Bi  0.8662  0.1338  0.4223
O  0.0826  0.9174  0.7500
O  0.2404  0.7596  0.0908
O  0.2404  0.7596  0.4092
O  0.5000  0.5000  0.0000
O  0.5000  0.5000  0.5000
O  0.7596  0.2404  0.5908
O  0.7596  0.2404  0.9092
O  0.9174  0.0826  0.2500